# La2MgCuO4

Crystalline La2MgCuO4 at its relaxed geometry (PBE, the Materials Project database).

Cell lengths 3.836, 3.836, 18.393 Å; angles 90.00, 90.00, 90.00 degrees
Space group I4/mmm (No. 139)
Inequivalent atoms, fractional coordinates:
La: 0.000 0.000 0.185 (multiplicity 4)
Mg: 0.000 0.000 0.000 (multiplicity 2)
Cu: 0.000 0.000 0.500 (multiplicity 2)
O: 0.000 0.000 0.308 (multiplicity 4)
O: 0.000 0.500 0.000 (multiplicity 4)

Output
crystal system = tetragonal
magnetization = 0.0 Bohr magnetons per cell
formation energy = -2.28 eV per atom
calculated total energy = -6.36 eV per atom
polymorph energy (0 for the lowest one) = 218.2 meV per atom